(1)
ErSi2: relaxed, meta-GGA r2SCAN.

```
data_ErSi2
_chemical_formula_sum 'Er2 Si4'
_symmetry_space_group_name_H-M 'P 1'
_symmetry_Int_Tables_number 1
_cell_length_a 7.949
_cell_length_b 7.949
_cell_length_c 7.949
_cell_angle_alpha 151.78
_cell_angle_beta 151.78
_cell_angle_gamma 40.33
loop_
_symmetry_equiv_pos_as_xyz
'x,y,z'
loop_
_atom_site_label
_atom_site_type_symbol
_atom_site_fract_x
_atom_site_fract_y
_atom_site_fract_z
Er1 Er 0.375 0.625 0.750
Er2 Er 0.625 0.375 0.250
Si1 Si 0.044 0.794 0.250
Si2 Si 0.206 0.956 0.250
Si3 Si 0.794 0.044 0.750
Si4 Si 0.956 0.206 0.750
```

Properties
Total moment (μB/atom): 0.000
ΔE_f (eV/f.u.): -1.56



(2)
MgH6N2Cl2: relaxed, meta-GGA r2SCAN.

```
data_MgH6N2Cl2
_chemical_formula_sum 'Mg1 H6 N2 Cl2'
_symmetry_space_group_name_H-M 'P 1'
_symmetry_Int_Tables_number 1
_cell_length_a 5.748
_cell_length_b 5.748
_cell_length_c 3.757
_cell_angle_alpha 91.02
_cell_angle_beta 91.02
_cell_angle_gamma 89.60
loop_
_symmetry_equiv_pos_as_xyz
'x,y,z'
loop_
_atom_site_label
_atom_site_type_symbol
_atom_site_fract_x
_atom_site_fract_y
_atom_site_fract_z
Mg1 Mg 0.000 0.000 0.000
H1 H 0.208 0.410 0.154
H2 H 0.309 0.323 0.775
H3 H 0.413 0.213 0.140
H4 H 0.590 0.792 0.846
H5 H 0.677 0.691 0.225
H6 H 0.787 0.587 0.860
N1 N 0.262 0.265 0.017
N2 N 0.735 0.738 0.983
Cl1 Cl 0.214 0.786 0.500
Cl2 Cl 0.785 0.215 0.500
```

Properties
Total moment (μB/atom): 0.000
ΔE_f (eV/f.u.): -10.06